A relaxed Na3Co2O4 crystal. Source: the Materials Project, functional GGA+U.

Geometry as POSCAR:
```
Na3Co2O4
1.0
2.872 -4.051 0.000
2.872 4.051 0.000
0.000 0.000 10.534
Na Co O
6 4 8
Cartesian
2.872 2.867 5.916
2.872 2.867 9.886
2.872 2.563 2.634
2.872 -2.563 7.901
2.872 -2.867 0.648
2.872 -2.867 4.619
2.872 0.549 7.901
2.872 0.000 0.000
2.872 0.000 5.267
2.872 -0.549 2.634
1.601 0.658 6.469
1.601 0.658 9.332
1.601 -0.658 1.202
1.601 -0.658 4.065
4.144 0.658 6.469
4.144 0.658 9.332
4.144 -0.658 1.202
4.144 -0.658 4.065
```

Computed properties:
ρ   3.40 g cm⁻³
Formation enthalpy at 0 K   -1.47 eV per atom
Size of the total moment   3.000 μB/f.u.
E   -5.02 eV per atom